1.
Material: Sm2Ga2Co15
Method: DFT, GGA-PBE
State: optimized geometry

The structure in CIF format:
```
data_Sm2Ga2Co15
_cell_length_a 8.4068
_cell_length_b 8.4068
_cell_length_c 12.3156
_cell_angle_alpha 90.00
_cell_angle_beta 90.00
_cell_angle_gamma 120.00
_symmetry_space_group_name_H-M 'R -3 m'
_symmetry_Int_Tables_number 166
_symmetry_space_group_name_Hall '-R 3 2"'
loop_
_atom_site_label
_atom_site_type_symbol
_atom_site_fract_x
_atom_site_fract_y
_atom_site_fract_z
_atom_site_occupancy
Sm1 Sm 0.0000 0.0000 0.1495 1
Ga1 Ga 0.0000 0.0000 0.3935 1
Co1 Co 0.0000 0.2886 0.5000 1
Co2 Co 0.0000 0.5000 0.0000 1
Co3 Co 0.9998 0.4999 0.3491 1
```

energy of formation from the pure elements	-0.10	eV per atom
total moment	1.070	μB per atom


2.
Material: SmGaCo
Method: DFT, GGA-PBE
State: optimized geometry

The structure in CIF format:
```
data_SmGaCo
_cell_length_a 5.5425
_cell_length_b 7.5302
_cell_length_c 5.7624
_cell_angle_alpha 90.00
_cell_angle_beta 90.00
_cell_angle_gamma 90.00
_symmetry_space_group_name_H-M 'C m c m'
_symmetry_Int_Tables_number 63
_symmetry_space_group_name_Hall '-C 2c 2'
loop_
_atom_site_label
_atom_site_type_symbol
_atom_site_fract_x
_atom_site_fract_y
_atom_site_fract_z
_atom_site_occupancy
Sm1 Sm 0.0000 0.1581 0.2500 1
Ga1 Ga 0.0000 0.2388 0.7500 1
Co1 Co 0.0000 0.5000 0.0000 1
```

energy of formation from the pure elements	-0.09	eV per atom
total moment	0.359	μB per atom


3.
Material: Sm2Ga8Co
Method: DFT, GGA-PBE
State: optimized geometry

The structure in CIF format:
```
data_Sm2Ga8Co
_cell_length_a 4.2992
_cell_length_b 4.2992
_cell_length_c 11.2540
_cell_angle_alpha 90.00
_cell_angle_beta 90.00
_cell_angle_gamma 90.00
_symmetry_space_group_name_H-M 'P 4/m m m'
_symmetry_Int_Tables_number 123
_symmetry_space_group_name_Hall '-P 4 2'
loop_
_atom_site_label
_atom_site_type_symbol
_atom_site_fract_x
_atom_site_fract_y
_atom_site_fract_z
_atom_site_occupancy
Sm1 Sm 0.0000 0.0000 0.1962 1
Ga1 Ga 0.0000 0.5000 0.0000 1
Ga2 Ga 0.0000 0.5000 0.3860 1
Ga3 Ga 0.5000 0.5000 0.2006 1
Co1 Co 0.0000 0.0000 0.5000 1
```

energy of formation from the pure elements	-0.48	eV per atom
total moment	0.021	μB per atom


4.
Material: SmGaCo
Method: DFT, GGA-PBE
State: optimized geometry

The structure in CIF format:
```
data_SmGaCo
_cell_length_a 7.9609
_cell_length_b 4.1551
_cell_length_c 7.7616
_cell_angle_alpha 90.00
_cell_angle_beta 90.00
_cell_angle_gamma 90.00
_symmetry_space_group_name_H-M 'P n m a'
_symmetry_Int_Tables_number 62
_symmetry_space_group_name_Hall '-P 2ac 2n'
loop_
_atom_site_label
_atom_site_type_symbol
_atom_site_fract_x
_atom_site_fract_y
_atom_site_fract_z
_atom_site_occupancy
Sm1 Sm 0.2121 0.2500 0.0745 1
Ga1 Ga 0.0015 0.7500 0.2707 1
Co1 Co 0.0470 0.2500 0.4272 1
```

energy of formation from the pure elements	-0.29	eV per atom
total moment	0.000	μB per atom


5.
Material: Ta2GaCo3
Method: DFT, GGA-PBE
State: optimized geometry

The structure in CIF format:
```
data_Ta2GaCo3
_cell_length_a 4.9010
_cell_length_b 4.9010
_cell_length_c 7.6301
_cell_angle_alpha 90.00
_cell_angle_beta 90.00
_cell_angle_gamma 120.00
_symmetry_space_group_name_H-M 'P 63/m m c'
_symmetry_Int_Tables_number 194
_symmetry_space_group_name_Hall '-P 6c 2c'
loop_
_atom_site_label
_atom_site_type_symbol
_atom_site_fract_x
_atom_site_fract_y
_atom_site_fract_z
_atom_site_occupancy
Ta1 Ta 0.3333 0.6667 0.0606 1
Ga1 Ga 0.0000 0.0000 0.0000 1
Co1 Co 0.1726 0.3452 0.7500 1
```

energy of formation from the pure elements	-0.28	eV per atom
total moment	0.001	μB per atom


6.
Material: Tb2GaCo2
Method: DFT, GGA-PBE
State: optimized geometry

The structure in CIF format:
```
data_Tb2GaCo2
_cell_length_a 4.0497
_cell_length_b 5.4606
_cell_length_c 8.3910
_cell_angle_alpha 90.00
_cell_angle_beta 90.00
_cell_angle_gamma 90.00
_symmetry_space_group_name_H-M 'I m m m'
_symmetry_Int_Tables_number 71
_symmetry_space_group_name_Hall '-I 2 2'
loop_
_atom_site_label
_atom_site_type_symbol
_atom_site_fract_x
_atom_site_fract_y
_atom_site_fract_z
_atom_site_occupancy
Tb1 Tb 0.0000 0.0000 0.2069 1
Ga1 Ga 0.0000 0.5000 0.0000 1
Co1 Co 0.0000 0.2863 0.5000 1
```

energy of formation from the pure elements	-0.40	eV per atom


7.
Material: Tb3GaCo3
Method: DFT, GGA-PBE
State: optimized geometry

The structure in CIF format:
```
data_Tb3GaCo3
_cell_length_a 4.0423
_cell_length_b 10.0711
_cell_length_c 13.0324
_cell_angle_alpha 90.00
_cell_angle_beta 90.00
_cell_angle_gamma 90.00
_symmetry_space_group_name_H-M 'C m c m'
_symmetry_Int_Tables_number 63
_symmetry_space_group_name_Hall '-C 2c 2'
loop_
_atom_site_label
_atom_site_type_symbol
_atom_site_fract_x
_atom_site_fract_y
_atom_site_fract_z
_atom_site_occupancy
Tb1 Tb 0.0000 0.0070 0.2500 1
Tb2 Tb 0.0000 0.2922 0.1046 1
Ga1 Ga 0.0000 0.0000 0.0000 1
Co1 Co 0.0000 0.2924 0.7500 1
Co2 Co 0.0000 0.4155 0.5934 1
```

energy of formation from the pure elements	-0.34	eV per atom
total moment	0.000	μB per atom


8.
Material: TbGa6Co6
Method: DFT, GGA-PBE
State: optimized geometry

The structure in CIF format:
```
data_TbGa6Co6
_cell_length_a 5.0514
_cell_length_b 8.2610
_cell_length_c 8.6177
_cell_angle_alpha 90.00
_cell_angle_beta 90.00
_cell_angle_gamma 90.00
_symmetry_space_group_name_H-M 'I m m m'
_symmetry_Int_Tables_number 71
_symmetry_space_group_name_Hall '-I 2 2'
loop_
_atom_site_label
_atom_site_type_symbol
_atom_site_fract_x
_atom_site_fract_y
_atom_site_fract_z
_atom_site_occupancy
Tb1 Tb 0.0000 0.0000 0.0000 1
Ga1 Ga 0.0000 0.0000 0.3454 1
Ga2 Ga 0.0000 0.3406 0.0000 1
Ga3 Ga 0.0000 0.5000 0.3101 1
Co1 Co 0.0000 0.2620 0.5000 1
Co2 Co 0.2500 0.2500 0.2500 1
```

energy of formation from the pure elements	-0.33	eV per atom
total moment	0.274	μB per atom


9.
Material: Tb6GaCo2
Method: DFT, GGA-PBE
State: optimized geometry

The structure in CIF format:
```
data_Tb6GaCo2
_cell_length_a 9.3014
_cell_length_b 9.6478
_cell_length_c 9.8925
_cell_angle_alpha 90.00
_cell_angle_beta 90.00
_cell_angle_gamma 90.00
_symmetry_space_group_name_H-M 'I m m m'
_symmetry_Int_Tables_number 71
_symmetry_space_group_name_Hall '-I 2 2'
loop_
_atom_site_label
_atom_site_type_symbol
_atom_site_fract_x
_atom_site_fract_y
_atom_site_fract_z
_atom_site_occupancy
Tb1 Tb 0.0000 0.1983 0.2361 1
Tb2 Tb 0.1891 0.5000 0.1743 1
Tb3 Tb 0.2180 0.3192 0.5000 1
Ga1 Ga 0.0000 0.0000 0.0000 1
Ga2 Ga 0.0000 0.0000 0.5000 1
Co1 Co 0.0000 0.3408 0.0000 1
Co2 Co 0.0000 0.5000 0.3859 1
```

energy of formation from the pure elements	-0.27	eV per atom
total moment	0.001	μB per atom


10.
Material: TbGa4Co8
Method: DFT, GGA-PBE
State: optimized geometry

The structure in CIF format:
```
data_TbGa4Co8
_cell_length_a 8.3706
_cell_length_b 8.3706
_cell_length_c 4.9408
_cell_angle_alpha 90.00
_cell_angle_beta 90.00
_cell_angle_gamma 90.00
_symmetry_space_group_name_H-M 'I 4/m m m'
_symmetry_Int_Tables_number 139
_symmetry_space_group_name_Hall '-I 4 2'
loop_
_atom_site_label
_atom_site_type_symbol
_atom_site_fract_x
_atom_site_fract_y
_atom_site_fract_z
_atom_site_occupancy
Tb1 Tb 0.0000 0.0000 0.0000 1
Ga1 Ga 0.0000 0.3438 0.0000 1
Co1 Co 0.0000 0.2251 0.5000 1
Co2 Co 0.2500 0.2500 0.2500 1
```

energy of formation from the pure elements	-0.18	eV per atom
total moment	0.766	μB per atom


11.
Material: Tb8Ga3Co
Method: DFT, GGA-PBE
State: optimized geometry

The structure in CIF format:
```
data_Tb8Ga3Co
_cell_length_a 10.0824
_cell_length_b 10.0824
_cell_length_c 6.9422
_cell_angle_alpha 90.00
_cell_angle_beta 90.00
_cell_angle_gamma 120.00
_symmetry_space_group_name_H-M 'P 63 m c'
_symmetry_Int_Tables_number 186
_symmetry_space_group_name_Hall 'P 6c -2c'
loop_
_atom_site_label
_atom_site_type_symbol
_atom_site_fract_x
_atom_site_fract_y
_atom_site_fract_z
_atom_site_occupancy
Tb1 Tb 0.0000 0.0000 0.0977 1
Tb2 Tb 0.0731 0.5366 0.1198 1
Tb3 Tb 0.1723 0.3447 0.8178 1
Tb4 Tb 0.3333 0.6667 0.5000 1
Ga1 Ga 0.1635 0.3271 0.3672 1
Co1 Co 0.3333 0.6667 0.8830 1
```

energy of formation from the pure elements	-0.39	eV per atom
total moment	0.000	μB per atom


12.
Material: Tb2Ga9Co3
Method: DFT, GGA-PBE
State: optimized geometry

The structure in CIF format:
```
data_Tb2Ga9Co3
_cell_length_a 12.7597
_cell_length_b 7.3807
_cell_length_c 9.4183
_cell_angle_alpha 90.00
_cell_angle_beta 90.00
_cell_angle_gamma 90.00
_symmetry_space_group_name_H-M 'C m c m'
_symmetry_Int_Tables_number 63
_symmetry_space_group_name_Hall '-C 2c 2'
loop_
_atom_site_label
_atom_site_type_symbol
_atom_site_fract_x
_atom_site_fract_y
_atom_site_fract_z
_atom_site_occupancy
Tb1 Tb 0.1640 0.1672 0.2500 1
Ga1 Ga 0.0000 0.1217 0.7500 1
Ga2 Ga 0.0000 0.3355 0.0578 1
Ga3 Ga 0.1071 0.4423 0.7500 1
Ga4 Ga 0.1669 0.1670 0.5727 1
Co1 Co 0.0000 0.0000 0.0000 1
Co2 Co 0.1718 0.5000 0.0000 1
```

energy of formation from the pure elements	-0.49	eV per atom
total moment	0.000	μB per atom